[1]
DFT (PBE with a Hubbard U) results for KFeSn3O8 after structural relaxation.

Geometry as POSCAR:
```
KFeSn3O8
1.0
1.6046 7.4242 0.0000
-1.6046 7.4242 0.0000
0.0000 7.4183 7.5228
K O Sn Fe
1 8 3 1
direct
0.4991 0.4991 0.9981
0.1653 0.1653 0.2920
0.1518 0.1518 0.0465
0.4602 0.4602 0.3731
0.2008 0.2008 0.6489
0.8491 0.8491 0.9462
0.5389 0.5389 0.6271
0.8354 0.8354 0.7108
0.7965 0.7965 0.3604
0.1597 0.1597 0.4921
0.6576 0.6576 0.1697
0.8362 0.8362 0.5204
0.3494 0.3494 0.8146
```

Calculated values
The corrected total energy (MP2020 scheme) is -6.73 eV/atom. The calculation puts the magnetic moment at 5.00 μB/f.u. The calculation puts the formation energy from the elements at -2.02 eV per atom.

[2]
DFT (PBE with a Hubbard U) results for Ti2MnO4 after structural relaxation.

Geometry as POSCAR:
```
Ti2MnO4
1.0
-1.4430 -2.3330 5.4620
3.4822 1.2381 4.8698
-7.7428 6.0901 3.9875
Mn Ti O
4 8 16
direct
0.8767 0.8117 0.9339
0.1281 0.6859 0.5584
0.8720 0.3140 0.4415
0.1233 0.1883 0.0661
0.5002 0.4999 0.9997
0.4978 0.2470 0.7490
0.4997 0.0002 0.5006
0.9934 0.7533 0.2510
0.5023 0.7531 0.2510
0.5023 0.2446 0.2510
0.4978 0.7552 0.7490
0.0064 0.2468 0.7490
0.7124 0.3938 0.1310
0.7409 0.8795 0.1381
0.2596 0.3499 0.6306
0.2638 0.6181 0.3547
0.7371 0.6058 0.8688
0.7401 0.1094 0.3695
0.2596 0.8904 0.6306
0.2592 0.1204 0.8617
0.7371 0.1571 0.8688
0.2875 0.6063 0.8690
0.2631 0.8427 0.1312
0.2631 0.3942 0.1312
0.7363 0.3818 0.6452
0.2810 0.1095 0.3694
0.7195 0.8903 0.6306
0.7401 0.6505 0.3695
```

Calculated values
The corrected total energy (MP2020 scheme) is -9.32 eV/atom. The calculation puts the magnetic moment at 0.78 μB/f.u. The calculation puts the formation energy from the elements at -2.92 eV per atom. The polymorph energy (0 for the lowest one) is 0.3 kJ per mole of atoms.

[3]
DFT (PBE with a Hubbard U) results for VCrO3 after structural relaxation.

Geometry as POSCAR:
```
VCrO3
1.0
5.1093 -0.0062 0.0038
-2.5529 1.4788 4.6532
2.5672 -7.3872 4.6589
V O Cr
4 12 4
direct
0.3492 0.3770 0.6762
0.8519 0.1294 0.4249
0.1510 0.8762 0.5720
0.1482 0.3702 0.0766
0.7490 0.7221 0.5262
0.0524 0.5265 0.7250
0.4463 0.8742 0.3729
0.2512 0.7757 0.9732
0.4494 0.3747 0.8769
0.2507 0.2804 0.4721
0.9457 0.4751 0.2772
0.7484 0.2217 0.0261
0.5529 0.1264 0.6262
0.5536 0.6251 0.1256
0.9473 0.9722 0.7760
0.0530 0.0233 0.2232
0.6508 0.1262 0.8264
0.3492 0.8714 0.1729
0.8492 0.6236 0.9256
0.6506 0.6286 0.3248
```

Calculated values
The corrected total energy (MP2020 scheme) is -9.16 eV/atom. The calculation puts the formation energy from the elements at -2.44 eV per atom.